Material: Ba5MgBi3O11
Method: DFT, PBE
State: relaxed

Geometry as CIF:
```
data_Ba5MgBi3O11
_cell_length_a 8.867
_cell_length_b 9.719
_cell_length_c 9.516
_cell_angle_alpha 90.00
_cell_angle_beta 91.32
_cell_angle_gamma 90.00
_symmetry_space_group_name_H-M 'C 1 m 1'
_symmetry_Int_Tables_number 8
loop_
_symmetry_equiv_pos_as_xyz
'x,y,z'
'x,-y,z'
'x+1/2,y+1/2,z'
'x+1/2,-y+1/2,z'
loop_
_atom_site_label
_atom_site_type_symbol
_atom_site_fract_x
_atom_site_fract_y
_atom_site_fract_z
_atom_site_occupancy
Ba1 Ba 0.000 0.000 0.000 1
Ba2 Ba 0.243 0.213 0.725 1
Ba3 Ba 0.285 0.201 0.295 1
Mg1 Mg 0.216 0.500 0.239 1
Bi1 Bi 0.002 0.500 0.522 1
Bi2 Bi 0.455 0.000 0.997 1
Bi3 Bi 0.489 0.500 0.504 1
O1 O 0.063 0.000 0.743 1
O2 O 0.210 0.500 0.035 1
O3 O 0.234 0.500 0.451 1
O4 O 0.243 0.000 0.472 1
O5 O 0.292 0.170 0.011 1
O6 O 0.452 0.500 0.261 1
O7 O 0.463 0.000 0.758 1
O8 O 0.487 0.000 0.256 1
O9 O 0.490 0.247 0.517 1
```

- E: -114.8 eV/f.u.
- Total magnetization: 0.338 μB/f.u.
- Excess energy over the best structure of this formula in the dataset: 117 meV/atom
- ΔH_f (0 K): -2.252 eV per atom